# MgP4H24N8O8 | the Materials Project | PBE | relaxed
data_MgP4H24N8O8
_cell_length_a 8.064
_cell_length_b 10.184
_cell_length_c 7.003
_cell_angle_alpha 81.43
_cell_angle_beta 116.35
_cell_angle_gamma 91.39
_symmetry_space_group_name_H-M 'P 1'
_symmetry_Int_Tables_number 1
_symmetry_space_group_name_Hall 'P 1'
loop_
_atom_site_label
_atom_site_type_symbol
_atom_site_fract_x
_atom_site_fract_y
_atom_site_fract_z
H1 H 0.971 0.215 0.827
H2 H 0.275 0.085 0.099
H3 H 0.356 0.223 0.207
H4 H 0.903 0.308 0.300
H5 H 0.844 0.215 0.961
H6 H 0.810 0.277 0.473
H7 H 0.335 0.369 0.845
H8 H 0.391 0.248 0.735
H9 H 0.514 0.394 0.776
H10 H 0.088 0.703 0.120
H11 H 0.633 0.633 0.183
H12 H 0.171 0.699 0.935
H13 H 0.318 0.096 0.364
H14 H 0.540 0.969 0.757
H15 H 0.758 0.978 0.958
H16 H 0.656 0.552 0.418
H17 H 0.291 0.392 0.581
H18 H 0.720 0.962 0.695
H19 H 0.691 0.833 0.861
H20 H 0.194 0.820 0.588
H21 H 0.461 0.654 0.258
H22 H 0.479 0.509 0.187
H23 H 0.499 0.083 0.304
H24 H 0.019 0.822 0.642
O1 O 0.106 0.449 0.299
O2 O 0.310 0.071 0.617
O3 O 0.288 0.413 0.079
O4 O 0.899 0.482 0.612
O5 O 0.867 0.058 0.165
O6 O 0.701 0.486 0.821
O7 O 0.728 0.011 0.445
O8 O 0.127 0.074 0.841
N1 N 0.384 0.350 0.736
N2 N 0.163 0.648 0.068
N3 N 0.819 0.246 0.345
N4 N 0.678 0.935 0.817
N5 N 0.362 0.121 0.244
N6 N 0.870 0.268 0.840
N7 N 0.151 0.857 0.689
N8 N 0.558 0.587 0.262
P1 P 0.864 0.083 0.372
P2 P 0.127 0.485 0.088
P3 P 0.871 0.432 0.815
P4 P 0.141 0.026 0.653
Mg1 Mg 0.994 0.592 0.411
# **Formation enthalpy at 0 K**: -0.89 eV/atom
# **Magnetization**: 0.00 μB per formula unit
# **Offset from the most stable computed form**: 0 meV/atom